A plane-wave DFT calculation with GGA+U was carried out for a geometry-optimized LiVP2H2O8 structure.

```
84
Lattice="8.0441 0.0000 0.0000 -4.0189 6.9717 0.0000 -0.0239 -4.5721 17.7270" Properties=species:S:1:pos:R:3 pbc="T T T"
Li -0.0174 2.3291 1.2985
Li -0.0243 2.3337 4.4325
Li -0.0118 2.3455 7.5650
Li 4.0130 0.0541 10.1620
Li 4.0255 0.0659 13.2945
Li 4.0186 0.0705 16.4285
V -0.0119 -2.2860 8.8635
V -0.0165 -2.2667 13.4509
V -0.0127 2.3810 13.1443
V 4.0220 0.0000 0.0000
V 4.0139 0.0186 4.5827
V 4.0178 4.6663 4.2761
P -0.9384 -0.1487 11.2947
P -0.9456 0.2657 15.2879
P 1.7189 -0.2473 2.4308
P 1.3600 -0.4314 6.4254
P 2.2810 -2.5310 11.2918
P 2.6366 -2.7195 15.2922
P 1.3646 5.1191 2.4348
P 1.7202 4.9306 6.4352
P 2.6413 2.8310 11.3017
P 2.2823 2.6469 15.2962
P 4.9468 2.1339 2.4391
P 4.9397 2.5483 6.4323
H -3.5679 2.5322 15.3196
H -2.1355 1.6948 11.2766
H -1.9020 3.9816 2.4311
H -0.4726 4.8165 6.4502
H 1.6349 -0.7663 15.3060
H 1.6352 0.8756 11.2965
H 2.3660 1.5240 6.4305
H 2.3663 3.1659 2.4210
H 4.4738 -2.4169 11.2768
H 5.9033 -1.5819 15.2959
H 6.1367 0.7048 6.4504
H 7.5692 -0.1326 2.4074
O -2.7042 3.6311 5.4140
O -1.7220 1.6897 6.6553
O -1.7140 2.9952 2.2303
O -0.5203 -0.6719 9.9371
O 0.2300 -0.6400 5.4066
O -2.6164 5.3173 2.9788
O 0.2851 0.5186 2.1998
O -1.3356 1.3457 14.2687
O -2.3900 4.3351 9.9263
O 1.2573 -3.1583 14.7565
O 1.1060 -1.0320 7.7908
O 0.1217 -0.7129 14.7580
O -1.4270 3.0338 11.8365
O -1.6437 6.6080 1.0656
O 0.1225 0.8280 11.8413
O -0.5459 0.7933 16.6539
O 1.5341 -1.6451 12.3021
O 1.4166 1.1958 6.6302
O 2.7426 -0.8729 5.8972
O 2.4629 0.6392 3.4342
O 2.8799 -3.3270 16.6616
O 0.2872 4.1612 6.6518
O 1.4174 3.4934 2.2226
O 0.2325 5.3315 3.4478
O 3.7688 -2.9318 14.2792
O 2.5838 -1.0938 15.5044
O 3.7141 -1.7615 11.0753
O 1.1214 5.7266 1.0654
O 1.5383 1.7604 14.2928
O 1.2587 3.2725 11.8299
O 2.5846 1.2038 11.0968
O 2.4671 4.0447 5.4249
O 4.5471 1.6063 1.0732
O 3.8787 1.5716 5.8857
O 5.6450 -4.2084 16.6614
O 5.4283 -0.6342 5.8905
O 3.8796 3.1125 2.9690
O 2.8952 3.4317 9.9362
O 2.7439 5.5579 2.9705
O 6.3913 -1.9355 7.8007
O 5.3368 1.0539 3.4583
O 3.7161 1.8810 15.5272
O 6.6177 -2.9177 14.7483
O 3.7712 3.0396 12.3204
O 4.5216 3.0715 7.7899
O 5.7152 -0.5956 15.4967
O 5.7232 0.7099 11.0717
O 6.7054 -1.2315 12.3130
```

Properties
The crystal system is triclinic. Its energy relative to the elements is -2.360 eV per atom. The calculation puts the total energy at -564.22 eV per cell. The space group is No. 2. The magnetic moment is 2.00 μB per formula unit. The calculation puts the calculated density at 2.50 g/cm³.